Entry from the Materials Project: DyMgAu after structural relaxation (PBE-GGA).

Structure (CIF):
```
data_DyMgAu
_space_group_name_H-M_alt 'P -6 2 m'
_space_group_IT_number 189
_space_group_name_Hall 'P -6 -2'
_cell_length_a 7.6826
_cell_length_b 7.6826
_cell_length_c 4.0357
_cell_angle_alpha 90.00
_cell_angle_beta 90.00
_cell_angle_gamma 120.00
loop_
_atom_site_label
_atom_site_type_symbol
_atom_site_fract_x
_atom_site_fract_y
_atom_site_fract_z
Dy1 Dy 0.0000 0.5898 0.0000
Mg1 Mg 0.0000 0.2490 0.5000
Au1 Au 0.0000 0.0000 0.0000
Au2 Au 0.3333 0.6667 0.5000
```

---

Entry from the Materials Project: DyNi4Au after structural relaxation (PBE-GGA).

Structure (CIF):
```
data_DyNi4Au
_space_group_name_H-M_alt 'F -4 3 m'
_space_group_IT_number 216
_space_group_name_Hall 'F -4 2 3'
_cell_length_a 6.970
_cell_length_b 6.970
_cell_length_c 6.970
_cell_angle_alpha 90.00
_cell_angle_beta 90.00
_cell_angle_gamma 90.00
loop_
_atom_site_label
_atom_site_type_symbol
_atom_site_fract_x
_atom_site_fract_y
_atom_site_fract_z
Dy1 Dy 0.000 0.000 0.000
Ni1 Ni 0.124 0.124 0.624
Au1 Au 0.250 0.250 0.250
```

---

Number 1: formation enthalpy at 0 K -0.686 eV per atom. Number 2: formation enthalpy at 0 K -0.389 eV per atom.